GGA+U NiS2O8, optimized geometry; E above lowest polymorph = 2 meV per atom; calculated density = 2.78 g/cm³
1.0
4.153 2.398 7.534
-4.153 2.398 7.534
0.000 -4.796 7.534
Ni S O
3 6 24
direct
0.000 0.000 0.000
0.205 0.205 0.205
0.698 0.698 0.698
0.092 0.807 0.393
0.307 0.601 0.893
0.393 0.092 0.807
0.601 0.893 0.307
0.807 0.393 0.092
0.893 0.307 0.601
0.090 0.218 0.475
0.131 0.823 0.198
0.151 0.947 0.369
0.178 0.809 0.856
0.198 0.131 0.823
0.209 0.606 0.483
0.218 0.475 0.090
0.341 0.552 0.740
0.369 0.151 0.947
0.475 0.090 0.218
0.483 0.209 0.606
0.499 0.566 0.879
0.517 0.882 0.851
0.552 0.740 0.341
0.566 0.879 0.499
0.606 0.483 0.209
0.740 0.341 0.552
0.809 0.856 0.178
0.823 0.198 0.131
0.851 0.517 0.882
0.856 0.178 0.809
0.879 0.499 0.566
0.882 0.851 0.517
0.947 0.369 0.151

=====

GGA+U Ba2NaMnO6, optimized geometry; calculated density = 5.09 g/cm³
1.0
0.000 4.181 4.181
4.181 0.000 4.181
4.181 4.181 0.000
Ba Na Mn O
2 1 1 6
direct
0.250 0.250 0.250
0.750 0.750 0.750
0.000 0.000 0.000
0.500 0.500 0.500
0.272 0.272 0.728
0.272 0.728 0.272
0.272 0.728 0.728
0.728 0.272 0.272
0.728 0.272 0.728
0.728 0.728 0.272

=====

GGA+U Li2MnSiO4, optimized geometry; E above lowest polymorph = 11 meV per atom; calculated density = 3.01 g/cm³
1.0
10.896 0.000 0.000
0.000 6.405 0.000
0.000 0.000 5.087
Li Mn Si O
8 4 4 16
direct
0.168 0.003 0.207
0.168 0.497 0.207
0.332 0.503 0.707
0.332 0.997 0.707
0.668 0.003 0.293
0.668 0.497 0.293
0.832 0.503 0.793
0.832 0.997 0.793
0.079 0.750 0.791
0.421 0.250 0.291
0.579 0.750 0.709
0.921 0.250 0.209
0.091 0.250 0.695
0.409 0.750 0.195
0.591 0.250 0.805
0.909 0.750 0.305
0.055 0.750 0.214
0.096 0.250 0.369
0.162 0.040 0.806
0.162 0.460 0.806
0.338 0.540 0.306
0.338 0.960 0.306
0.404 0.750 0.869
0.445 0.250 0.714
0.555 0.750 0.286
0.596 0.250 0.131
0.662 0.040 0.694
0.662 0.460 0.694
0.838 0.540 0.194
0.838 0.960 0.194
0.904 0.750 0.631
0.945 0.250 0.786

=====

GGA+U Li4Mn3OF11, optimized geometry; E above lowest polymorph = 0 meV per atom; calculated density = 3.26 g/cm³
1.0
6.039 0.000 0.000
-1.057 6.013 0.000
-1.124 -1.356 5.850
Li Mn O F
4 3 1 11
direct
0.000 0.000 0.000
0.200 0.292 0.550
0.473 0.936 0.745
0.728 0.492 0.832
0.334 0.606 0.150
0.618 0.242 0.260
0.909 0.761 0.483
0.647 0.565 0.271
0.033 0.662 0.045
0.147 0.990 0.715
0.232 0.273 0.188
0.297 0.720 0.445
0.376 0.497 0.854
0.457 0.934 0.110
0.529 0.226 0.541
0.726 0.224 0.986
0.736 0.799 0.747
0.891 0.016 0.338
0.948 0.468 0.557

=====

E values (in hartree per atom) by entry order: -0.2056, -0.2160, -0.2536, -0.2023.
MP2020-corrected energy values (in eV/atom) by entry order: -6.324, -6.458, -7.454, -6.073.
Calculated volume values (in Å³/atom) by entry order: 13.64, 14.62, 11.09, 11.18.